DFT (GGA-PBE) results for a geometry-optimized Na6Nb3In5Si6S6O48 structure.

Cell lengths 18.037, 9.017, 23.092 Å; angles 90.07, 90.05, 119.89 degrees
Fractional positions:
Na 0.483 0.683 0.910
Na 0.163 0.315 0.911
Na 0.486 0.293 0.414
Na 0.977 0.288 0.407
Na 0.163 0.024 0.411
Na 0.665 0.032 0.418
Na 0.982 0.965 0.491
Na 0.493 0.986 0.491
Na 0.993 0.000 0.997
Na 0.500 0.997 0.989
Na 0.333 0.327 0.820
Na 0.831 0.343 0.829
Na 0.337 0.331 0.329
Na 0.839 0.341 0.334
Na 0.152 0.657 0.163
Na 0.668 0.650 0.166
Na 0.169 0.672 0.672
Na 0.663 0.658 0.663
Nb 0.005 0.998 0.652
Nb 0.501 0.005 0.656
Nb 0.003 0.996 0.150
Nb 0.508 0.023 0.147
Nb 0.835 0.338 0.978
Nb 0.160 0.674 0.310
Nb 0.664 0.655 0.318
Nb 0.165 0.650 0.809
Nb 0.664 0.673 0.809
In 0.996 0.994 0.349
In 0.494 0.999 0.352
In 0.001 0.999 0.849
In 0.499 0.995 0.851
In 0.335 0.334 0.688
In 0.833 0.342 0.686
In 0.335 0.328 0.188
In 0.842 0.346 0.181
In 0.332 0.335 0.981
In 0.337 0.336 0.479
In 0.834 0.339 0.476
In 0.160 0.655 0.014
In 0.668 0.666 0.020
In 0.169 0.673 0.517
In 0.667 0.670 0.512
Si 0.148 0.008 0.254
Si 0.997 0.291 0.252
Si 0.505 0.307 0.252
Si 0.148 0.293 0.753
Si 0.648 0.294 0.755
Si 0.999 0.701 0.755
Si 0.500 0.708 0.753
Si 0.352 0.997 0.755
Si 0.984 0.634 0.082
Si 0.693 0.342 0.084
Si 0.312 0.672 0.920
Si 0.018 0.366 0.916
Si 0.668 0.958 0.920
Si 0.310 0.954 0.418
Si 0.815 0.956 0.418
Si 0.666 0.370 0.419
Si 0.021 0.672 0.419
Si 0.519 0.667 0.418
S 0.646 0.998 0.249
S 0.354 0.713 0.247
S 0.850 0.707 0.248
S 0.853 0.995 0.748
S 0.484 0.330 0.584
S 0.982 0.329 0.584
S 0.183 0.038 0.584
S 0.684 0.037 0.584
S 0.334 0.631 0.583
S 0.834 0.637 0.584
S 0.480 0.632 0.085
S 0.336 0.040 0.084
S 0.836 0.044 0.083
S 0.185 0.329 0.086
S 0.813 0.664 0.916
S 0.523 0.380 0.916
S 0.168 0.961 0.917
S 0.168 0.380 0.417
O 0.108 0.024 0.313
O 0.607 0.016 0.302
O 0.404 0.781 0.301
O 0.899 0.778 0.302
O 0.491 0.196 0.309
O 0.987 0.194 0.313
O 0.111 0.194 0.813
O 0.607 0.187 0.812
O 0.488 0.772 0.815
O 0.976 0.782 0.808
O 0.410 0.035 0.811
O 0.900 0.023 0.802
O 0.404 0.970 0.696
O 0.897 0.970 0.697
O 0.080 0.183 0.696
O 0.583 0.201 0.696
O 0.009 0.831 0.696
O 0.517 0.841 0.697
O 0.400 0.824 0.196
O 0.898 0.814 0.196
O 0.006 0.178 0.196
O 0.513 0.194 0.195
O 0.082 0.973 0.196
O 0.588 0.979 0.197
O 0.437 0.348 0.633
O 0.939 0.352 0.635
O 0.236 0.130 0.633
O 0.739 0.126 0.635
O 0.325 0.526 0.634
O 0.825 0.535 0.636
O 0.434 0.520 0.134
O 0.948 0.529 0.141
O 0.326 0.124 0.135
O 0.821 0.114 0.136
O 0.240 0.345 0.135
O 0.741 0.356 0.143
O 0.218 0.298 0.030
O 0.738 0.311 0.027
O 0.432 0.561 0.029
O 0.919 0.525 0.027
O 0.354 0.146 0.030
O 0.846 0.151 0.031
O 0.217 0.132 0.529
O 0.722 0.133 0.530
O 0.344 0.552 0.529
O 0.850 0.565 0.531
O 0.436 0.307 0.528
O 0.934 0.307 0.529
O 0.271 0.693 0.979
O 0.775 0.684 0.970
O 0.079 0.433 0.972
O 0.570 0.456 0.970
O 0.160 0.871 0.971
O 0.648 0.830 0.974
O 0.276 0.851 0.478
O 0.779 0.851 0.477
O 0.155 0.451 0.471
O 0.642 0.443 0.475
O 0.079 0.706 0.476
O 0.575 0.710 0.476
O 0.071 0.646 0.359
O 0.571 0.636 0.361
O 0.247 0.845 0.361
O 0.752 0.852 0.360
O 0.177 0.484 0.365
O 0.677 0.496 0.361
O 0.067 0.492 0.859
O 0.569 0.491 0.865
O 0.175 0.874 0.865
O 0.680 0.853 0.862
O 0.246 0.641 0.863
O 0.760 0.645 0.864
O 0.015 0.843 0.412
O 0.515 0.838 0.405
O 0.408 0.999 0.413
O 0.913 0.997 0.413
O 0.091 0.205 0.413
O 0.584 0.181 0.410
O 0.004 0.173 0.909
O 0.510 0.208 0.912
O 0.093 0.989 0.914
O 0.585 0.980 0.914
O 0.409 0.829 0.916
O 0.899 0.813 0.912
O 0.491 0.171 0.590
O 0.988 0.169 0.592
O 0.094 0.022 0.591
O 0.598 0.023 0.591
O 0.412 0.806 0.589
O 0.913 0.814 0.592
O 0.486 0.804 0.093
O 0.986 0.823 0.090
O 0.416 0.023 0.092
O 0.915 0.031 0.087
O 0.097 0.170 0.093
O 0.593 0.159 0.093
O 0.336 0.152 0.741
O 0.838 0.140 0.738
O 0.240 0.322 0.740
O 0.741 0.315 0.743
O 0.425 0.518 0.741
O 0.923 0.510 0.743
O 0.342 0.539 0.240
O 0.836 0.532 0.243
O 0.425 0.337 0.243
O 0.915 0.318 0.245
O 0.240 0.172 0.244
O 0.730 0.149 0.241
O 0.316 0.488 0.920
O 0.818 0.501 0.919
O 0.439 0.380 0.918
O 0.925 0.360 0.925
O 0.248 0.137 0.919
O 0.757 0.145 0.927
O 0.307 0.135 0.418
O 0.815 0.139 0.417
O 0.246 0.361 0.420
O 0.752 0.358 0.418
O 0.429 0.484 0.417
O 0.933 0.489 0.418
O 0.174 0.480 0.084
O 0.671 0.496 0.077
O 0.082 0.675 0.075
O 0.567 0.654 0.083
O 0.262 0.868 0.079
O 0.761 0.868 0.077
O 0.170 0.862 0.583
O 0.673 0.862 0.583
O 0.255 0.648 0.581
O 0.758 0.658 0.581
O 0.071 0.479 0.581
O 0.571 0.484 0.582
O 0.153 0.827 0.255
O 0.650 0.837 0.249
O 0.269 0.703 0.252
O 0.768 0.707 0.250
O 0.090 0.479 0.257
O 0.596 0.492 0.254
O 0.147 0.475 0.753
O 0.657 0.488 0.761
O 0.092 0.709 0.758
O 0.593 0.701 0.757
O 0.260 0.816 0.759
O 0.767 0.831 0.752

Values from the calculation:
Electronic total energy in eV for the cell shown: -1476.09
Energy with MP2020 corrections in eV per atom: -7.09
Theoretical density in g/cm³: 3.2
Formation enthalpy at 0 K in kJ/mol of formula units: -17188

DFT (GGA-PBE) results for a geometry-optimized Sr4CePrO8 structure.

Cell lengths 3.670, 6.205, 10.439 Å; angles 90.32, 90.00, 90.00 degrees
Fractional positions:
Sr 0.500 0.565 0.822
Sr 0.500 0.435 0.178
Sr 0.500 0.066 0.677
Sr 0.500 0.934 0.323
Ce 0.000 0.500 0.500
Pr 0.000 0.000 0.000
O 0.000 0.359 0.691
O 0.000 0.641 0.309
O 0.000 0.852 0.794
O 0.000 0.148 0.206
O 0.500 0.726 0.540
O 0.500 0.274 0.460
O 0.500 0.241 0.956
O 0.500 0.759 0.044

Values from the calculation:
Electronic total energy in eV for the cell shown: -97.40
Energy with MP2020 corrections in eV per atom: -7.35
Theoretical density in g/cm³: 5.3
Formation enthalpy at 0 K in kJ/mol of formula units: -4423

DFT (GGA-PBE) results for a geometry-optimized Te7As2F12 structure.

Cell lengths 9.956, 11.419, 16.716 Å; angles 90.00, 90.00, 90.00 degrees
Fractional positions:
Te 0.900 0.750 0.488
Te 0.400 0.250 0.012
Te 0.100 0.250 0.512
Te 0.600 0.750 0.988
Te 0.120 0.472 0.627
Te 0.620 0.528 0.873
Te 0.880 0.972 0.373
Te 0.380 0.028 0.127
Te 0.880 0.528 0.373
Te 0.380 0.472 0.127
Te 0.120 0.028 0.627
Te 0.620 0.972 0.873
Te 0.252 0.570 0.502
Te 0.752 0.430 0.998
Te 0.748 0.070 0.498
Te 0.248 0.930 0.002
Te 0.748 0.430 0.498
Te 0.248 0.570 0.002
Te 0.252 0.930 0.502
Te 0.752 0.070 0.998
Te 0.143 0.422 0.385
Te 0.643 0.578 0.115
Te 0.857 0.922 0.615
Te 0.357 0.078 0.885
Te 0.857 0.578 0.615
Te 0.357 0.422 0.885
Te 0.143 0.078 0.385
Te 0.643 0.922 0.115
As 0.479 0.750 0.686
As 0.979 0.250 0.814
As 0.521 0.250 0.314
As 0.021 0.750 0.186
As 0.013 0.750 0.829
As 0.513 0.250 0.671
As 0.987 0.250 0.171
As 0.487 0.750 0.329
F 0.582 0.140 0.248
F 0.082 0.860 0.252
F 0.418 0.640 0.752
F 0.918 0.360 0.748
F 0.418 0.860 0.752
F 0.918 0.140 0.748
F 0.582 0.360 0.248
F 0.082 0.640 0.252
F 0.461 0.360 0.380
F 0.961 0.640 0.120
F 0.539 0.860 0.620
F 0.039 0.140 0.880
F 0.539 0.640 0.620
F 0.039 0.360 0.880
F 0.461 0.140 0.380
F 0.961 0.860 0.120
F 0.321 0.750 0.634
F 0.821 0.250 0.866
F 0.679 0.250 0.366
F 0.179 0.750 0.134
F 0.138 0.640 0.835
F 0.636 0.750 0.737
F 0.364 0.250 0.263
F 0.864 0.750 0.237
F 0.113 0.140 0.178
F 0.613 0.860 0.322
F 0.887 0.640 0.822
F 0.387 0.360 0.678
F 0.887 0.860 0.822
F 0.387 0.140 0.678
F 0.113 0.360 0.178
F 0.613 0.640 0.322
F 0.862 0.360 0.165
F 0.362 0.640 0.335
F 0.138 0.860 0.835
F 0.638 0.140 0.665
F 0.473 0.750 0.222
F 0.973 0.250 0.278
F 0.527 0.250 0.778
F 0.027 0.750 0.722
F 0.501 0.750 0.435
F 0.001 0.250 0.065
F 0.499 0.250 0.565
F 0.999 0.750 0.935
F 0.362 0.860 0.335
F 0.862 0.140 0.165
F 0.638 0.360 0.665
F 0.136 0.250 0.763

Values from the calculation:
Electronic total energy in eV for the cell shown: -340.66
Energy with MP2020 corrections in eV per atom: -4.32
Theoretical density in g/cm³: 4.4
Formation enthalpy at 0 K in kJ/mol of formula units: -3513